Entry P
First-principles (GGA+U) data for Li3V3P4O16 after structural relaxation, as listed in the Materials Project database.

Lattice parameters (Å, degrees): 11.287 6.189 8.724 79.16 90.00 90.00
Atoms (fractional coordinates):
P  0.631  0.132  0.415
P  0.092  0.457  0.101
P  0.867  0.635  0.398
P  0.367  0.365  0.602
P  0.592  0.543  0.899
P  0.131  0.868  0.585
P  0.410  0.935  0.089
P  0.910  0.065  0.911
V  0.589  0.079  0.775
V  0.910  0.598  0.763
V  0.410  0.402  0.237
V  0.089  0.921  0.225
V  0.310  0.614  0.837
V  0.810  0.386  0.163
O  0.534  0.989  0.015
O  0.817  0.105  0.032
O  0.734  0.136  0.294
O  0.562  0.919  0.420
O  0.947  0.839  0.343
O  0.181  0.464  0.969
O  0.554  0.340  0.352
O  0.062  0.081  0.580
O  0.034  0.011  0.985
O  0.814  0.649  0.559
O  0.688  0.152  0.573
O  0.628  0.372  0.800
O  0.104  0.236  0.218
O  0.911  0.276  0.779
O  0.128  0.628  0.200
O  0.367  0.122  0.175
O  0.462  0.510  0.966
O  0.267  0.363  0.727
O  0.604  0.764  0.782
O  0.930  0.413  0.395
O  0.234  0.864  0.706
O  0.188  0.848  0.427
O  0.314  0.351  0.441
O  0.681  0.536  0.031
O  0.962  0.490  0.034
O  0.447  0.161  0.657
O  0.054  0.660  0.648
O  0.867  0.878  0.825
O  0.317  0.895  0.968
O  0.767  0.637  0.273
O  0.430  0.587  0.605
O  0.411  0.724  0.221
Li  0.389  0.839  0.428
Li  0.610  0.650  0.565
Li  0.693  0.909  0.153
Li  0.193  0.091  0.847
Li  0.889  0.161  0.572
Li  0.110  0.350  0.435

Output
* calculated volume: 598.5 Å³/cell

---

Entry Q
First-principles (GGA+U) data for Li3V3P4O16 after structural relaxation, as listed in the Materials Project database.

Lattice parameters (Å, degrees): 10.109 10.109 10.601 88.47 88.47 37.27
Atoms (fractional coordinates):
O  0.800  0.687  0.647
O  0.377  0.466  0.368
O  0.413  0.416  0.107
O  0.785  0.175  0.016
O  0.825  0.215  0.484
O  0.317  0.988  0.287
O  0.175  0.785  0.516
O  0.584  0.587  0.393
O  0.366  0.945  0.722
O  0.720  0.773  0.864
O  0.053  0.649  0.502
O  0.683  0.012  0.713
O  0.773  0.720  0.364
O  0.649  0.053  0.002
O  0.945  0.366  0.222
O  0.623  0.534  0.632
O  0.947  0.351  0.498
O  0.988  0.317  0.787
O  0.055  0.634  0.778
O  0.687  0.800  0.147
O  0.200  0.313  0.353
O  0.313  0.200  0.853
O  0.351  0.947  0.998
O  0.215  0.825  0.984
O  0.466  0.377  0.868
O  0.012  0.683  0.213
O  0.416  0.413  0.607
O  0.227  0.280  0.636
O  0.634  0.055  0.278
O  0.587  0.584  0.893
O  0.534  0.623  0.132
O  0.280  0.227  0.136
V  0.359  0.329  0.743
V  0.000  0.500  0.500
V  0.329  0.359  0.243
V  0.500  0.000  0.000
V  0.671  0.641  0.757
V  0.641  0.671  0.257
Li  0.475  0.525  0.750
Li  0.525  0.475  0.250
Li  0.838  0.026  0.551
Li  0.974  0.162  0.949
Li  0.162  0.974  0.449
Li  0.026  0.838  0.051
P  0.581  0.255  0.997
P  0.783  0.819  0.252
P  0.819  0.783  0.752
P  0.745  0.419  0.503
P  0.217  0.181  0.748
P  0.419  0.745  0.003
P  0.181  0.217  0.248
P  0.255  0.581  0.497

Output
* calculated volume: 655.9 Å³/cell

---

Entry R
First-principles (GGA+U) data for Li3V3P4O16 after structural relaxation, as listed in the Materials Project database.

Lattice parameters (Å, degrees): 8.564 9.112 9.165 104.19 115.04 102.13
Atoms (fractional coordinates):
V  0.998  0.196  0.498
V  0.643  0.187  0.618
V  0.357  0.813  0.382
V  0.289  0.262  0.222
V  0.711  0.738  0.778
V  0.002  0.804  0.502
O  0.242  0.888  0.722
O  0.031  0.961  0.376
O  0.511  0.445  0.262
O  0.833  0.791  0.048
O  0.867  0.337  0.610
O  0.552  0.855  0.804
O  0.456  0.874  0.071
O  0.436  0.997  0.602
O  0.929  0.610  0.564
O  0.823  0.137  0.803
O  0.735  0.710  0.323
O  0.847  0.417  0.159
O  0.167  0.209  0.952
O  0.969  0.039  0.624
O  0.049  0.089  0.170
O  0.071  0.390  0.436
O  0.544  0.126  0.929
O  0.177  0.863  0.197
O  0.840  0.580  0.785
O  0.448  0.145  0.196
O  0.951  0.911  0.830
O  0.573  0.707  0.510
O  0.489  0.555  0.738
O  0.427  0.293  0.490
O  0.160  0.420  0.215
O  0.564  0.003  0.398
O  0.153  0.583  0.841
O  0.133  0.663  0.390
O  0.605  0.334  0.791
O  0.758  0.112  0.278
O  0.265  0.290  0.677
O  0.395  0.666  0.209
P  0.018  0.925  0.194
P  0.445  0.972  0.772
P  0.437  0.370  0.669
P  0.555  0.028  0.228
P  0.563  0.630  0.331
P  0.952  0.529  0.696
P  0.982  0.075  0.806
P  0.048  0.471  0.304
Li  0.202  0.465  0.010
Li  0.191  0.837  0.949
Li  0.410  0.693  0.879
Li  0.809  0.163  0.051
Li  0.590  0.307  0.121
Li  0.798  0.535  0.990

Output
* calculated volume: 586.6 Å³/cell

---

Which of them is the most stable? Correct choice: entry Q.

---

Entry P
First-principles (GGA+U) data for Li3V3P4O16 after structural relaxation, as listed in the Materials Project database.

Lattice parameters (Å, degrees): 4.983 8.230 15.533 67.95 90.00 90.00
Atoms (fractional coordinates):
O  0.327  0.452  0.573
O  0.083  0.322  0.243
O  0.673  0.548  0.427
O  0.796  0.000  0.888
O  0.704  0.000  0.388
O  0.428  0.908  0.801
O  0.917  0.678  0.757
O  0.968  0.242  0.521
O  0.296  0.000  0.612
O  0.202  0.523  0.372
O  0.572  0.092  0.199
O  0.173  0.452  0.073
O  0.298  0.523  0.872
O  0.582  0.346  0.342
O  0.468  0.758  0.979
O  0.532  0.242  0.021
O  0.702  0.477  0.128
O  0.072  0.908  0.301
O  0.798  0.477  0.628
O  0.194  0.065  0.403
O  0.583  0.678  0.257
O  0.204  0.000  0.112
O  0.694  0.935  0.097
O  0.082  0.654  0.158
O  0.827  0.548  0.927
O  0.806  0.935  0.597
O  0.032  0.758  0.479
O  0.928  0.092  0.699
O  0.306  0.065  0.903
O  0.918  0.346  0.842
O  0.418  0.654  0.658
O  0.417  0.322  0.743
P  0.511  0.927  0.893
P  0.489  0.073  0.107
P  0.005  0.473  0.150
P  0.011  0.073  0.607
P  0.495  0.473  0.650
P  0.505  0.527  0.350
P  0.989  0.927  0.393
P  0.995  0.527  0.850
V  0.073  0.178  0.792
V  0.927  0.822  0.208
V  0.427  0.178  0.292
V  0.500  0.500  0.000
V  0.000  0.500  0.500
V  0.573  0.822  0.708
Li  0.500  0.000  0.500
Li  0.022  0.702  0.622
Li  0.522  0.298  0.878
Li  0.478  0.702  0.122
Li  0.000  0.000  0.000
Li  0.978  0.298  0.378

Output
* calculated volume: 590.4 Å³/cell

---

Entry Q
First-principles (GGA+U) data for Li3V3P4O16 after structural relaxation, as listed in the Materials Project database.

Lattice parameters (Å, degrees): 8.404 8.844 13.523 84.51 89.94 89.87
Atoms (fractional coordinates):
P  0.694  0.646  0.057
P  0.697  0.974  0.720
P  0.702  0.307  0.390
P  0.801  0.479  0.724
P  0.799  0.139  0.057
P  0.811  0.812  0.386
P  0.298  0.361  0.944
P  0.300  0.021  0.277
P  0.303  0.692  0.614
P  0.193  0.854  0.944
P  0.200  0.524  0.276
P  0.199  0.187  0.610
O  0.359  0.854  0.888
O  0.211  0.471  0.387
O  0.855  0.313  0.748
O  0.351  0.188  0.252
O  0.796  0.855  0.275
O  0.704  0.367  0.277
O  0.788  0.526  0.612
O  0.370  0.517  0.929
O  0.859  0.645  0.114
O  0.644  0.810  0.751
O  0.857  0.642  0.415
O  0.356  0.857  0.582
O  0.416  0.909  0.232
O  0.213  0.141  0.723
O  0.920  0.259  0.104
O  0.075  0.746  0.900
O  0.085  0.075  0.565
O  0.576  0.755  0.101
O  0.638  0.151  0.108
O  0.643  0.812  0.443
O  0.147  0.024  0.922
O  0.579  0.429  0.437
O  0.139  0.348  0.892
O  0.712  0.692  0.945
O  0.212  0.807  0.056
O  0.796  0.200  0.943
O  0.581  0.088  0.774
O  0.296  0.643  0.723
O  0.925  0.919  0.436
O  0.862  0.318  0.441
O  0.420  0.579  0.560
O  0.862  0.978  0.777
O  0.134  0.021  0.221
O  0.365  0.522  0.221
O  0.285  0.976  0.389
O  0.703  0.024  0.611
O  0.915  0.592  0.769
O  0.082  0.411  0.228
O  0.145  0.689  0.253
O  0.147  0.354  0.585
O  0.871  0.983  0.071
O  0.422  0.241  0.897
O  0.628  0.152  0.407
O  0.634  0.477  0.778
O  0.646  0.476  0.079
O  0.294  0.301  0.057
O  0.138  0.687  0.557
O  0.367  0.190  0.557
V  0.349  0.065  0.832
V  0.650  0.268  0.840
V  0.353  0.398  0.496
V  0.142  0.898  0.495
V  0.654  0.604  0.501
V  0.845  0.434  0.170
V  0.358  0.735  0.160
V  0.855  0.768  0.839
V  0.148  0.229  0.159
Li  0.146  0.562  0.824
Li  0.524  0.002  0.503
Li  0.479  0.661  0.829
Li  0.647  0.940  0.178
Li  0.990  0.486  0.497
Li  0.508  0.316  0.161
Li  0.852  0.102  0.508
Li  0.974  0.840  0.173
Li  0.004  0.181  0.843

Output
* calculated volume: 1000.5 Å³/cell

---

Which of them is the most stable? Correct choice: entry P.

---

Entry P
First-principles (GGA+U) data for Li2VPO5 after structural relaxation, as listed in the Materials Project database.

Lattice parameters (Å, degrees): 7.237 7.280 7.910 91.46 89.69 116.36
Atoms (fractional coordinates):
Li  0.844  0.351  0.440
Li  0.371  0.538  0.719
Li  0.801  0.560  0.962
Li  0.727  0.851  0.939
Li  0.159  0.689  0.557
Li  0.171  0.429  0.050
Li  0.294  0.171  0.064
Li  0.502  0.009  0.478
O  0.658  0.079  0.257
O  0.268  0.773  0.335
O  0.733  0.223  0.658
O  0.086  0.064  0.317
O  0.142  0.871  0.014
O  0.915  0.439  0.179
O  0.085  0.565  0.820
O  0.133  0.365  0.518
O  0.413  0.734  0.985
O  0.653  0.572  0.750
O  0.589  0.260  0.006
O  0.258  0.285  0.843
O  0.410  0.240  0.497
O  0.340  0.917  0.739
O  0.900  0.928  0.699
O  0.336  0.414  0.245
O  0.871  0.143  0.989
O  0.746  0.723  0.148
O  0.584  0.748  0.506
O  0.883  0.649  0.489
P  0.246  0.779  0.894
P  0.753  0.225  0.109
P  0.242  0.268  0.397
P  0.758  0.727  0.604
V  0.495  0.241  0.750
V  0.011  0.770  0.252
V  0.504  0.735  0.247
V  0.983  0.226  0.745

Output
* calculated volume: 373.3 Å³/cell

---

Entry Q
First-principles (GGA+U) data for Li2VPO5 after structural relaxation, as listed in the Materials Project database.

Lattice parameters (Å, degrees): 7.195 7.329 7.868 90.13 90.46 116.17
Atoms (fractional coordinates):
O  0.741  0.721  0.643
O  0.414  0.243  0.991
O  0.351  0.924  0.243
O  0.095  0.560  0.307
O  0.110  0.334  0.001
O  0.905  0.440  0.693
O  0.264  0.769  0.841
O  0.657  0.569  0.258
O  0.127  0.837  0.506
O  0.586  0.757  0.009
O  0.114  0.072  0.783
O  0.886  0.928  0.217
O  0.583  0.270  0.510
O  0.343  0.431  0.742
O  0.649  0.076  0.757
O  0.259  0.279  0.357
O  0.736  0.231  0.159
O  0.417  0.730  0.490
O  0.890  0.666  0.999
O  0.873  0.163  0.494
P  0.746  0.232  0.615
P  0.245  0.268  0.886
P  0.254  0.768  0.385
P  0.755  0.732  0.114
Li  0.858  0.593  0.440
Li  0.500  0.500  0.500
Li  0.259  0.123  0.558
Li  0.741  0.877  0.442
Li  0.821  0.361  0.944
Li  0.179  0.639  0.056
Li  0.500  0.000  0.000
Li  0.142  0.407  0.560
V  0.495  0.252  0.246
V  0.505  0.748  0.754
V  0.007  0.766  0.757
V  0.993  0.234  0.243

Output
* calculated volume: 372.4 Å³/cell

---

Which of them is the most stable? Correct choice: entry Q.